## LiFeF4 (PBE with a Hubbard U)

Data for crystalline LiFeF4 at its relaxed geometry.

Structure (extended XYZ):
```
24
Lattice="4.667 5.259 0.000 -4.667 5.259 0.000 0.000 2.290 6.769" Properties=species:S:1:pos:R:3 pbc="T T T"
Li 0.000 10.348 5.806
Li 2.974 6.404 3.385
Li -2.974 6.404 3.385
Li 0.000 2.460 0.963
Fe 0.000 8.619 2.767
Fe 2.361 5.259 0.000
Fe -2.361 5.259 0.000
Fe 0.000 4.188 4.002
F 0.000 10.268 3.657
F 0.000 8.791 0.917
F -1.351 8.875 5.999
F 1.351 8.875 5.999
F -1.541 7.746 3.211
F 1.541 7.746 3.211
F 3.243 6.655 5.390
F -3.243 6.655 5.390
F 3.243 6.153 1.379
F -3.243 6.153 1.379
F 1.541 5.062 3.558
F -1.541 5.062 3.558
F -1.351 3.932 0.770
F 1.351 3.932 0.770
F 0.000 4.017 5.852
F 0.000 2.540 3.112
```

Calculated values
Its symmetry is No. 12. The energy relative to the elements comes out at -16.4 eV per formula unit. As for the excess energy over the best structure of this formula in the dataset: 92.0 meV per atom. The calculation puts the total DFT energy (no corrections) at -5.0547 eV/atom.